[1]
{
  "formula": "KHoMo2O8",
  "functional": "GGA+U",
  "state": "optimized geometry",
  "lattice_angstrom": [[5.377, -5.196, 0.000], [5.377, 5.196, 0.000], [-5.106, 0.000, 5.839]],
  "species": ["K", "K", "Ho", "Ho", "Mo", "Mo", "Mo", "Mo", "O", "O", "O", "O", "O", "O", "O", "O", "O", "O", "O", "O", "O", "O", "O", "O"],
  "fractional_positions": [[0.200, 0.800, 0.750], [0.800, 0.200, 0.250], [0.229, 0.771, 0.250], [0.771, 0.229, 0.750], [0.302, 0.304, 0.761], [0.304, 0.302, 0.261], [0.696, 0.698, 0.739], [0.698, 0.696, 0.239], [0.045, 0.206, 0.691], [0.066, 0.383, 0.123], [0.206, 0.045, 0.191], [0.231, 0.387, 0.560], [0.367, 0.586, 0.031], [0.383, 0.066, 0.623], [0.387, 0.231, 0.060], [0.414, 0.633, 0.469], [0.586, 0.367, 0.531], [0.613, 0.769, 0.940], [0.617, 0.934, 0.377], [0.633, 0.414, 0.969], [0.769, 0.613, 0.440], [0.794, 0.955, 0.809], [0.934, 0.617, 0.877], [0.955, 0.794, 0.309]],
  "magmom_total_mub_per_cell": 0.00,
  "ef_ev_per_atom": -2.5360
}

=====

[2]
{
  "formula": "LiNiP4O12",
  "functional": "GGA+U",
  "state": "optimized geometry",
  "lattice_angstrom": [[4.107, -5.779, 0.000], [4.107, 5.779, 0.000], [-0.073, 0.000, 9.549]],
  "species": ["Li", "Li", "Ni", "Ni", "P", "P", "P", "P", "P", "P", "P", "P", "O", "O", "O", "O", "O", "O", "O", "O", "O", "O", "O", "O", "O", "O", "O", "O", "O", "O", "O", "O", "O", "O", "O", "O"],
  "fractional_positions": [[0.155, 0.845, 0.750], [0.845, 0.155, 0.250], [0.108, 0.892, 0.250], [0.892, 0.108, 0.750], [0.195, 0.285, 0.476], [0.273, 0.626, 0.030], [0.285, 0.195, 0.976], [0.374, 0.727, 0.470], [0.626, 0.273, 0.530], [0.715, 0.805, 0.024], [0.727, 0.374, 0.970], [0.805, 0.715, 0.524], [0.081, 0.294, 0.605], [0.093, 0.148, 0.357], [0.129, 0.653, 0.137], [0.148, 0.093, 0.857], [0.235, 0.392, 0.022], [0.257, 0.712, 0.889], [0.288, 0.504, 0.407], [0.288, 0.743, 0.611], [0.294, 0.081, 0.105], [0.347, 0.871, 0.363], [0.392, 0.235, 0.522], [0.496, 0.712, 0.093], [0.504, 0.288, 0.907], [0.608, 0.765, 0.478], [0.653, 0.129, 0.637], [0.706, 0.919, 0.895], [0.712, 0.257, 0.389], [0.712, 0.496, 0.593], [0.743, 0.288, 0.111], [0.765, 0.608, 0.978], [0.852, 0.907, 0.143], [0.871, 0.347, 0.863], [0.907, 0.852, 0.643], [0.919, 0.706, 0.395]],
  "magmom_total_mub_per_cell": 6.00,
  "ef_ev_per_atom": -2.3701
}

=====

[3]
{
  "formula": "LiVO2",
  "functional": "GGA+U",
  "state": "optimized geometry",
  "lattice_angstrom": [[5.207, -2.990, 0.000], [5.207, 2.990, 0.000], [-1.577, 0.000, 4.826]],
  "species": ["Li", "Li", "Li", "Li", "V", "V", "V", "V", "O", "O", "O", "O", "O", "O", "O", "O"],
  "fractional_positions": [[0.123, 0.375, 0.250], [0.375, 0.123, 0.750], [0.625, 0.877, 0.250], [0.877, 0.625, 0.750], [0.121, 0.879, 0.250], [0.386, 0.614, 0.750], [0.614, 0.386, 0.250], [0.879, 0.121, 0.750], [0.016, 0.756, 0.506], [0.244, 0.984, 0.994], [0.254, 0.512, 0.003], [0.488, 0.746, 0.497], [0.512, 0.254, 0.503], [0.746, 0.488, 0.997], [0.756, 0.016, 0.006], [0.984, 0.244, 0.494]],
  "magmom_total_mub_per_cell": 0.00,
  "ef_ev_per_atom": -2.4832
}